The following is a GGA+U calculation of a relaxed MgZn2Fe4O8 crystal, from the Materials Project database.

POSCAR file:
```
MgZn2Fe4O8
1.0
-3.050 3.215 4.332
3.050 -3.215 4.332
3.050 3.215 -4.332
Mg Zn Fe O
1 2 4 8
direct
0.000 0.000 0.000
0.238 0.514 0.277
0.238 0.961 0.723
0.131 0.422 0.710
0.593 0.093 0.500
0.685 0.685 0.000
0.712 0.422 0.290
0.352 0.651 0.701
0.387 0.177 0.210
0.464 0.225 0.761
0.464 0.702 0.239
0.869 0.129 0.260
0.869 0.609 0.740
0.950 0.651 0.299
0.968 0.177 0.790
```

Output
Crystal system: orthorhombic
Energy of formation from the pure elements (meV/atom): -1653.2
Magnetization (μB per cell): 10.0
Energy above the lowest structure with this stoichiometry (meV/atom): 45.0


The following is a GGA+U calculation of a relaxed MgZn2Fe2O6 crystal, from the Materials Project database.

POSCAR file:
```
MgZn2Fe2O6
1.0
2.621 1.513 5.070
-2.621 1.513 5.070
0.000 -3.026 5.070
Mg Zn Fe O
1 2 2 6
direct
0.000 0.000 0.000
0.397 0.397 0.397
0.603 0.603 0.603
0.182 0.182 0.182
0.818 0.818 0.818
0.064 0.406 0.793
0.207 0.936 0.594
0.406 0.793 0.064
0.594 0.207 0.936
0.793 0.064 0.406
0.936 0.594 0.207
```

Output
Crystal system: trigonal
Energy of formation from the pure elements (meV/atom): -1908.4
Magnetization (μB per cell): 10.0
Energy above the lowest structure with this stoichiometry (meV/atom): 0.0


The following is a GGA+U calculation of a relaxed MgZn2Fe4O8 crystal, from the Materials Project database.

POSCAR file:
```
MgZn2Fe4O8
1.0
2.945 0.000 0.000
0.000 11.982 0.000
-0.618 0.000 5.160
Mg Zn Fe O
1 2 4 8
direct
0.000 0.000 0.000
0.113 0.000 0.499
0.143 0.500 0.862
0.564 0.233 0.832
0.564 0.767 0.832
0.672 0.357 0.337
0.672 0.643 0.337
0.051 0.122 0.750
0.051 0.878 0.750
0.116 0.291 0.125
0.116 0.709 0.125
0.231 0.374 0.610
0.231 0.626 0.610
0.552 0.000 0.243
0.685 0.500 0.137
```

Output
Crystal system: monoclinic
Energy of formation from the pure elements (meV/atom): -1639.0
Magnetization (μB per cell): 18.0
Energy above the lowest structure with this stoichiometry (meV/atom): 59.2


The following is a GGA+U calculation of a relaxed MgZn2Fe2O6 crystal, from the Materials Project database.

POSCAR file:
```
MgZn2Fe2O6
1.0
2.609 1.506 4.981
-2.609 1.506 4.981
0.000 -3.013 4.981
Mg Zn Fe O
1 2 2 6
direct
0.000 0.000 0.000
0.643 0.643 0.643
0.812 0.812 0.812
0.277 0.277 0.277
0.465 0.465 0.465
0.074 0.396 0.678
0.227 0.873 0.567
0.396 0.678 0.074
0.567 0.227 0.873
0.678 0.074 0.396
0.873 0.567 0.227
```

Output
Crystal system: trigonal
Energy of formation from the pure elements (meV/atom): -1835.5
Magnetization (μB per cell): 10.0
Energy above the lowest structure with this stoichiometry (meV/atom): 72.9